(1)
Compound: Li5Fe5O12
Source: Materials Project
Functional: GGA+U
Structure: optimized geometry Values from VASP.

Geometry as Quantum ESPRESSO input:
```
&SYSTEM
  ibrav = 0, nat = 22, ntyp = 3
/
ATOMIC_SPECIES
Li 6.94 Li.upf
Fe 55.84 Fe.upf
O 16.00 O.upf
CELL_PARAMETERS angstrom
5.121 0.000 0.000
-2.511 4.464 0.000
-0.103 -0.254 10.359
ATOMIC_POSITIONS angstrom
Li 0.000 0.000 0.000
Li -0.963 2.758 7.776
Li -0.427 3.737 2.577
Li 2.865 0.527 7.765
Li 3.438 1.474 2.584
Fe -1.304 3.607 5.180
Fe -0.049 2.711 10.355
Fe 1.292 2.089 5.174
Fe 2.563 1.498 0.000
Fe 3.805 0.619 5.177
O -1.511 2.838 1.106
O -0.496 2.229 4.090
O 0.426 0.568 6.173
O -0.708 4.140 9.251
O 0.948 1.620 0.994
O 0.294 3.580 6.264
O 2.166 0.640 4.037
O 1.563 2.588 9.361
O 3.221 0.075 1.107
O 2.984 2.037 6.316
O 2.196 3.591 4.181
O 4.018 1.371 9.244
```

Computed properties:
Formation energy = -1674 meV/atom
Volume = 10.76 Å³/atom
E = -0.4296 Ry per atom
Excess energy over the best structure of this formula in the dataset = 37.0 meV per atom


(2)
Compound: LiFeO2
Source: Materials Project
Functional: GGA+U
Structure: optimized geometry Values from VASP.

Geometry as Quantum ESPRESSO input:
```
&SYSTEM
  ibrav = 0, nat = 64, ntyp = 3
/
ATOMIC_SPECIES
Li 6.94 Li.upf
Fe 55.84 Fe.upf
O 16.00 O.upf
CELL_PARAMETERS angstrom
5.258 0.000 0.000
0.000 10.784 0.000
0.000 0.000 13.487
ATOMIC_POSITIONS angstrom
Li 0.970 0.445 0.819
Li 0.970 4.947 7.562
Li 1.072 2.302 2.610
Li 1.072 3.090 9.353
Li 1.557 7.694 2.610
Li 1.557 8.482 9.353
Li 1.659 5.838 0.819
Li 1.659 10.339 7.562
Li 3.599 0.445 5.924
Li 3.599 4.947 12.668
Li 3.701 2.302 4.134
Li 3.701 3.090 10.877
Li 4.186 7.694 4.134
Li 4.186 8.482 10.877
Li 4.288 5.838 5.924
Li 4.288 10.339 12.668
Fe 0.840 5.815 10.993
Fe 0.840 10.361 4.249
Fe 1.041 2.252 5.912
Fe 1.041 3.140 12.656
Fe 1.588 7.644 5.912
Fe 1.588 8.532 12.656
Fe 1.789 0.423 10.993
Fe 1.789 4.969 4.249
Fe 3.469 5.815 9.238
Fe 3.469 10.361 2.494
Fe 3.670 2.252 0.831
Fe 3.670 3.140 7.574
Fe 4.217 7.644 0.831
Fe 4.217 8.532 7.574
Fe 4.418 0.423 9.238
Fe 4.418 4.969 2.494
O 0.871 7.727 0.729
O 0.871 8.449 7.472
O 0.895 7.725 11.063
O 0.895 8.451 4.320
O 0.950 5.602 2.658
O 0.950 10.575 9.402
O 1.051 5.816 5.798
O 1.051 10.360 12.542
O 1.578 0.424 5.798
O 1.578 4.968 12.542
O 1.679 0.210 2.658
O 1.679 5.183 9.402
O 1.734 2.333 11.063
O 1.734 3.059 4.320
O 1.758 2.335 0.729
O 1.758 3.057 7.472
O 3.500 7.727 6.015
O 3.500 8.449 12.758
O 3.524 7.725 9.167
O 3.524 8.451 2.424
O 3.579 5.602 4.085
O 3.579 10.575 10.829
O 3.680 5.816 0.945
O 3.680 10.360 7.689
O 4.207 0.424 0.945
O 4.207 4.968 7.689
O 4.308 0.210 4.085
O 4.308 5.183 10.829
O 4.363 2.333 9.167
O 4.363 3.059 2.424
O 4.387 2.335 6.015
O 4.387 3.057 12.758
```

Computed properties:
Formation energy = -1865 meV/atom
Volume = 11.95 Å³/atom
E = -0.4429 Ry per atom


What is the formula in the second record? LiFeO2